No. 1
Here is a geometry-optimized CaP2W2O8 structure from the Materials Project database. Energies are from PBE+U.

```
data_CaP2W2O8
_cell_length_a 18.771
_cell_length_b 5.115
_cell_length_c 16.979
_cell_angle_alpha 90.00
_cell_angle_beta 117.41
_cell_angle_gamma 90.00
_symmetry_space_group_name_H-M 'C 1 2/c 1'
_symmetry_Int_Tables_number 15
_symmetry_space_group_name_Hall '-C 2yc'
loop_
_atom_site_label
_atom_site_type_symbol
_atom_site_fract_x
_atom_site_fract_y
_atom_site_fract_z
Ca1 Ca 0.153 0.186 0.130
P1 P 0.020 0.251 0.607
P2 P 0.211 0.227 0.355
W1 W 0.000 0.237 0.250
W2 W 0.111 0.312 0.473
W3 W 0.250 0.250 0.000
O1 O 0.000 0.489 0.144
O2 O 0.038 0.025 0.674
O3 O 0.051 0.201 0.984
O4 O 0.099 0.297 0.598
O5 O 0.126 0.261 0.351
O6 O 0.211 0.324 0.271
O7 O 0.226 0.098 0.564
O8 O 0.237 0.062 0.878
```

Final energy   -7.101 eV per atom

***

No. 2
Here is a geometry-optimized CaP3W3O13 structure from the Materials Project database. Energies are from PBE+U.

```
data_CaP3W3O13
_cell_length_a 7.863
_cell_length_b 6.722
_cell_length_c 10.755
_cell_angle_alpha 90.00
_cell_angle_beta 99.44
_cell_angle_gamma 90.00
_symmetry_space_group_name_H-M 'P 1 21/m 1'
_symmetry_Int_Tables_number 11
_symmetry_space_group_name_Hall '-P 2yb'
loop_
_atom_site_label
_atom_site_type_symbol
_atom_site_fract_x
_atom_site_fract_y
_atom_site_fract_z
Ca1 Ca 0.147 0.250 0.194
P1 P 0.183 0.750 0.112
P2 P 0.237 0.750 0.767
P3 P 0.286 0.250 0.505
W1 W 0.139 0.250 0.794
W2 W 0.270 0.750 0.442
W3 W 0.500 0.000 0.000
O1 O 0.003 0.250 0.966
O2 O 0.119 0.571 0.787
O3 O 0.146 0.750 0.252
O4 O 0.154 0.250 0.597
O5 O 0.251 0.069 0.413
O6 O 0.280 0.554 0.096
O7 O 0.303 0.750 0.642
O8 O 0.379 0.250 0.904
O9 O 0.402 0.750 0.874
O10 O 0.470 0.250 0.582
```

Final energy   -7.386 eV per atom